Compound: CrP2
Source: Materials Project
Functional: r²SCAN
Structure: relaxed

The structure belongs to space group C2/m (No. 12); the cell edges are 8.124, 3.005 and 7.051 Å and the angles 90.00°, 119.43° and 90.00°. Symmetry generates all atoms from Cr at (0.158, 0.000, 0.205), P at (0.101, 0.500, 0.904) and P at (0.144, 0.000, 0.529).

The value obtained for the volume is 150.0 Å³/cell. For the energy of formation from the pure elements, the calculation gives -0.33 eV/atom. The total magnetization is 0.00 Bohr magnetons per cell.